(1)
Ti3Se2S4: relaxed, meta-GGA r2SCAN.

Output
space-group type: P3m1, No. 156

Lattice parameters (Å, degrees): 3.465 3.465 18.281 90.00 90.00 120.00
Positions (direct):
Ti 0.000 0.000 0.000
Ti 0.000 0.000 0.325
Ti 0.000 0.000 0.664
Se 0.667 0.333 0.577
Se 0.667 0.333 0.912
S 0.333 0.667 0.073
S 0.333 0.667 0.401
S 0.333 0.667 0.738
S 0.667 0.333 0.249

(2)
Zn2SeS: relaxed, meta-GGA r2SCAN.

Output
space-group type: R3m, No. 160

Lattice parameters (Å, degrees): 6.771 6.771 6.771 33.54 33.54 33.54
Positions (direct):
Zn 0.000 0.000 0.000
Zn 0.493 0.493 0.493
Se 0.621 0.621 0.621
S 0.122 0.122 0.122

(3)
Zn2SeS: relaxed, meta-GGA r2SCAN.

Output
space-group type: P-4m2, No. 115

Lattice parameters (Å, degrees): 3.909 3.909 5.522 90.00 90.00 90.00
Positions (direct):
Zn 0.000 0.500 0.237
Zn 0.500 0.000 0.763
Se 0.000 0.000 0.500
S 0.500 0.500 0.000

Number 1: ΔE_f -1413 meV per atom, uncorrected energy -112.29 eV for the cell shown. Number 2: ΔE_f -891 meV per atom, uncorrected energy -43.73 eV for the cell shown. Number 3: ΔE_f -894 meV per atom, uncorrected energy -43.74 eV for the cell shown.